Computed, not measured: an optimized crystal structure of Ta2N3 at the r2SCAN level of DFT.

Structure (CIF):
```
data_Ta2N3
_cell_length_a 8.2027
_cell_length_b 2.9865
_cell_length_c 8.1638
_cell_angle_alpha 90.00
_cell_angle_beta 90.00
_cell_angle_gamma 90.00
_symmetry_space_group_name_H-M 'P n m a'
_symmetry_Int_Tables_number 62
_symmetry_space_group_name_Hall '-P 2ac 2n'
loop_
_atom_site_label
_atom_site_fract_x
_atom_site_fract_y
_atom_site_fract_z
Ta1 0.0209 0.2500 0.1870
Ta2 0.1939 0.2500 0.5050
N1 0.0462 0.7500 0.3747
N2 0.1210 0.2500 0.9514
N3 0.2198 0.7500 0.6996
```

Results
- V (Å³/f.u.) = 50.0
- density (g cm⁻³) = 13.41
- spin magnetization (μB/f.u.) = 0.00
- DFT formation energy (eV per atom) = -1.24

---

Computed, not measured: an optimized crystal structure of La11Ni4Ge6 at the r2SCAN level of DFT.

Structure (CIF):
```
data_La11Ni4Ge6
_cell_length_a 4.3896
_cell_length_b 9.5289
_cell_length_c 14.1379
_cell_angle_alpha 105.50
_cell_angle_beta 90.01
_cell_angle_gamma 103.31
_symmetry_space_group_name_H-M 'P 1'
_symmetry_Int_Tables_number 1
_symmetry_space_group_name_Hall 'P 1'
loop_
_atom_site_label
_atom_site_fract_x
_atom_site_fract_y
_atom_site_fract_z
La1 0.0000 0.0000 0.0000
La2 0.0494 0.0998 0.5670
La3 0.1443 0.2892 0.8514
La4 0.2392 0.4786 0.1358
La5 0.2889 0.5788 0.7029
La6 0.3578 0.7158 0.4509
La7 0.4812 0.9637 0.7601
La8 0.5983 0.1970 0.2290
La9 0.6907 0.3816 0.4741
La10 0.8078 0.6152 0.9424
La11 0.9309 0.8625 0.2519
Ni1 0.0824 0.1695 0.3764
Ni2 0.2067 0.4083 0.3266
Ni3 0.3924 0.7820 0.9009
Ni4 0.8971 0.7977 0.8019
Ge1 0.4050 0.8106 0.0851
Ge2 0.5151 0.0316 0.4008
Ge3 0.6305 0.2615 0.0028
Ge4 0.6584 0.3173 0.7000
Ge5 0.7737 0.5468 0.3021
Ge6 0.8838 0.7678 0.6177
```

Results
- V (Å³/f.u.) = 553.4
- density (g cm⁻³) = 6.60
- spin magnetization (μB/f.u.) = 0.48
- DFT formation energy (eV per atom) = -0.75

---

Computed, not measured: an optimized crystal structure of CaTi4S8 at the r2SCAN level of DFT.

Structure (CIF):
```
data_CaTi4S8
_cell_length_a 11.8882
_cell_length_b 6.8692
_cell_length_c 9.0327
_cell_angle_alpha 90.00
_cell_angle_beta 130.57
_cell_angle_gamma 90.00
_symmetry_space_group_name_H-M 'C 1 2/m 1'
_symmetry_Int_Tables_number 12
_symmetry_space_group_name_Hall '-C 2y'
loop_
_atom_site_label
_atom_site_fract_x
_atom_site_fract_y
_atom_site_fract_z
Ca1 0.0000 0.0000 0.0000
Ti1 0.0000 0.2574 0.5000
Ti2 0.2435 0.5000 0.4923
S1 0.0171 0.0000 0.7032
S2 0.0217 0.5000 0.7108
S3 0.2299 0.2494 0.2902
```

Results
- V (Å³/f.u.) = 280.1
- density (g cm⁻³) = 2.89
- spin magnetization (μB/f.u.) = 0.00
- relative energy among the computed polymorphs (meV per atom) = 5
- DFT formation energy (eV per atom) = -1.68

---

Computed, not measured: an optimized crystal structure of NaHS at the r2SCAN level of DFT.

Structure (CIF):
```
data_NaHS
_cell_length_a 3.9080
_cell_length_b 4.4528
_cell_length_c 5.9126
_cell_angle_alpha 90.00
_cell_angle_beta 99.63
_cell_angle_gamma 90.00
_symmetry_space_group_name_H-M 'P 1 21/m 1'
_symmetry_Int_Tables_number 11
_symmetry_space_group_name_Hall '-P 2yb'
loop_
_atom_site_label
_atom_site_fract_x
_atom_site_fract_y
_atom_site_fract_z
Na1 0.2352 0.2500 0.2663
H1 0.4513 0.7500 0.1042
S1 0.2435 0.2500 0.7522
```

Results
- V (Å³/f.u.) = 50.7
- density (g cm⁻³) = 1.84
- spin magnetization (μB/f.u.) = 0.00
- DFT formation energy (eV per atom) = -0.81

---

Computed, not measured: an optimized crystal structure of Na7Cu3O8 at the r2SCAN level of DFT.

Structure (CIF):
```
data_Na7Cu3O8
_cell_length_a 5.5105
_cell_length_b 6.0736
_cell_length_c 7.8339
_cell_angle_alpha 110.11
_cell_angle_beta 109.08
_cell_angle_gamma 90.29
_symmetry_space_group_name_H-M 'P -1'
_symmetry_Int_Tables_number 2
_symmetry_space_group_name_Hall '-P 1'
loop_
_atom_site_label
_atom_site_fract_x
_atom_site_fract_y
_atom_site_fract_z
Na1 0.0000 0.0000 0.0000
Na2 0.2509 0.3703 0.4427
Na3 0.2818 0.3909 0.8840
Na4 0.3750 0.8352 0.7897
Cu1 0.0000 0.0000 0.5000
Cu2 0.2548 0.7502 0.2609
O1 0.0392 0.9914 0.2780
O2 0.1224 0.7158 0.4461
O3 0.3520 0.8077 0.0790
O4 0.4262 0.4970 0.2494
```

Results
- V (Å³/f.u.) = 230.6
- density (g cm⁻³) = 3.45
- spin magnetization (μB/f.u.) = 0.00
- DFT formation energy (eV per atom) = -1.30

---

Computed, not measured: an optimized crystal structure of Tm2ZnRh at the r2SCAN level of DFT.

Structure (CIF):
```
data_Tm2ZnRh
_cell_length_a 6.8306
_cell_length_b 6.8306
_cell_length_c 6.8306
_cell_angle_alpha 90.00
_cell_angle_beta 90.00
_cell_angle_gamma 90.00
_symmetry_space_group_name_H-M 'F m -3 m'
_symmetry_Int_Tables_number 225
_symmetry_space_group_name_Hall '-F 4 2 3'
loop_
_atom_site_label
_atom_site_fract_x
_atom_site_fract_y
_atom_site_fract_z
Tm1 0.2500 0.2500 0.2500
Zn1 0.0000 0.0000 0.0000
Rh1 0.0000 0.0000 0.5000
```

Results
- V (Å³/f.u.) = 79.7
- density (g cm⁻³) = 10.55
- spin magnetization (μB/f.u.) = 0.00
- DFT formation energy (eV per atom) = -0.70

---

Computed, not measured: an optimized crystal structure of SbBrO at the r2SCAN level of DFT.

Structure (CIF):
```
data_SbBrO
_cell_length_a 8.3471
_cell_length_b 11.3640
_cell_length_c 9.7152
_cell_angle_alpha 90.00
_cell_angle_beta 103.81
_cell_angle_gamma 90.00
_symmetry_space_group_name_H-M 'P 1 21/c 1'
_symmetry_Int_Tables_number 14
_symmetry_space_group_name_Hall '-P 2ybc'
loop_
_atom_site_label
_atom_site_fract_x
_atom_site_fract_y
_atom_site_fract_z
Sb1 0.0239 0.1721 0.2416
Sb2 0.2080 0.5305 0.0708
Sb3 0.3920 0.7452 0.8900
Br1 0.1071 0.1365 0.8811
Br2 0.3733 0.5997 0.5795
Br3 0.3936 0.1071 0.3453
O1 0.0288 0.0701 0.4128
O2 0.2038 0.6570 0.9317
O3 0.2155 0.6681 0.2443
```

Results
- V (Å³/f.u.) = 74.6
- density (g cm⁻³) = 4.85
- spin magnetization (μB/f.u.) = 0.00
- DFT formation energy (eV per atom) = -1.14

---

Computed, not measured: an optimized crystal structure of Cr2Ir2C at the r2SCAN level of DFT.

Structure (CIF):
```
data_Cr2Ir2C
_cell_length_a 2.7296
_cell_length_b 2.7296
_cell_length_c 26.3641
_cell_angle_alpha 90.00
_cell_angle_beta 90.00
_cell_angle_gamma 120.00
_symmetry_space_group_name_H-M 'R -3 m'
_symmetry_Int_Tables_number 166
_symmetry_space_group_name_Hall '-R 3 2"'
loop_
_atom_site_label
_atom_site_fract_x
_atom_site_fract_y
_atom_site_fract_z
Cr1 0.0000 0.0000 0.1230
Ir1 0.0000 0.0000 0.3783
C1 0.0000 0.0000 0.5000
```

Results
- V (Å³/f.u.) = 56.7
- density (g cm⁻³) = 14.65
- spin magnetization (μB/f.u.) = 0.00
- DFT formation energy (eV per atom) = -0.07